Record 1
{"formula": "Na4XeO12", "functional": "PBE", "state": "relaxed", "lattice": [[7.1528, 0.0000, 0.0000], [0.0000, 14.4793, 0.0000], [0.0000, 0.0000, 11.6148]], "species": ["Na", "Na", "Na", "Na", "Na", "Na", "Na", "Na", "Na", "Na", "Na", "Na", "Na", "Na", "Na", "Na", "Xe", "Xe", "Xe", "Xe", "O", "O", "O", "O", "O", "O", "O", "O", "O", "O", "O", "O", "O", "O", "O", "O", "O", "O", "O", "O", "O", "O", "O", "O", "O", "O", "O", "O", "O", "O", "O", "O", "O", "O", "O", "O", "O", "O", "O", "O", "O", "O", "O", "O", "O", "O", "O", "O"], "frac_coords": [[0.0554, 0.2130, 0.1068], [0.0554, 0.2870, 0.6068], [0.1216, 0.5293, 0.1849], [0.1216, 0.9707, 0.6849], [0.3784, 0.0293, 0.1849], [0.3784, 0.4707, 0.6849], [0.4446, 0.7130, 0.1068], [0.4446, 0.7870, 0.6068], [0.5554, 0.2130, 0.3932], [0.5554, 0.2870, 0.8932], [0.6216, 0.5293, 0.3151], [0.6216, 0.9707, 0.8151], [0.8784, 0.0293, 0.3151], [0.8784, 0.4707, 0.8151], [0.9446, 0.7130, 0.3932], [0.9446, 0.7870, 0.8932], [0.0000, 0.0000, 0.0000], [0.0000, 0.5000, 0.5000], [0.5000, 0.0000, 0.5000], [0.5000, 0.5000, 0.0000], [0.0686, 0.0594, 0.1661], [0.0686, 0.4406, 0.6661], [0.0773, 0.1629, 0.4097], [0.0773, 0.3371, 0.9097], [0.0888, 0.6502, 0.0343], [0.0888, 0.8498, 0.5343], [0.1631, 0.6871, 0.7520], [0.1631, 0.8129, 0.2520], [0.2223, 0.1811, 0.4820], [0.2223, 0.3189, 0.9820], [0.2487, 0.1187, 0.7904], [0.2487, 0.3813, 0.2904], [0.2513, 0.6187, 0.7904], [0.2513, 0.8813, 0.2904], [0.2777, 0.6811, 0.4820], [0.2777, 0.8189, 0.9820], [0.3369, 0.1871, 0.7520], [0.3369, 0.3129, 0.2520], [0.4112, 0.1502, 0.0343], [0.4112, 0.3498, 0.5343], [0.4227, 0.6629, 0.4097], [0.4227, 0.8371, 0.9097], [0.4314, 0.5594, 0.1661], [0.4314, 0.9406, 0.6661], [0.5686, 0.0594, 0.3339], [0.5686, 0.4406, 0.8339], [0.5773, 0.1629, 0.0903], [0.5773, 0.3371, 0.5903], [0.5888, 0.6502, 0.4657], [0.5888, 0.8498, 0.9657], [0.6631, 0.6871, 0.7480], [0.6631, 0.8129, 0.2480], [0.7223, 0.1811, 0.0180], [0.7223, 0.3189, 0.5180], [0.7487, 0.1187, 0.7096], [0.7487, 0.3813, 0.2096], [0.7513, 0.6187, 0.7096], [0.7513, 0.8813, 0.2096], [0.7777, 0.6811, 0.0180], [0.7777, 0.8189, 0.5180], [0.8369, 0.1871, 0.7480], [0.8369, 0.3129, 0.2480], [0.9112, 0.1502, 0.4657], [0.9112, 0.3498, 0.9657], [0.9227, 0.6629, 0.0903], [0.9227, 0.8371, 0.5903], [0.9314, 0.5594, 0.3339], [0.9314, 0.9406, 0.8339]]}

Record 2
{"formula": "NaAc2Sn", "functional": "PBE", "state": "relaxed", "lattice": [[0.0000, 4.1205, 4.1205], [4.1205, 0.0000, 4.1205], [4.1205, 4.1205, 0.0000]], "species": ["Na", "Ac", "Ac", "Sn"], "frac_coords": [[0.0000, 0.0000, 0.0000], [0.2500, 0.2500, 0.2500], [0.7500, 0.7500, 0.7500], [0.5000, 0.5000, 0.5000]]}

Record 3
{"formula": "Rb2AgMoBr6", "functional": "PBE", "state": "relaxed", "lattice": [[0.0000, 5.4781, 5.4781], [5.4781, 0.0000, 5.4781], [5.4781, 5.4781, 0.0000]], "species": ["Rb", "Rb", "Ag", "Mo", "Br", "Br", "Br", "Br", "Br", "Br"], "frac_coords": [[0.2500, 0.2500, 0.2500], [0.7500, 0.7500, 0.7500], [0.0000, 0.0000, 0.0000], [0.5000, 0.5000, 0.5000], [0.2605, 0.2605, 0.7395], [0.2605, 0.7395, 0.2605], [0.2605, 0.7395, 0.7395], [0.7395, 0.2605, 0.2605], [0.7395, 0.2605, 0.7395], [0.7395, 0.7395, 0.2605]]}

Record 4
{"formula": "RbInBr3", "functional": "PBE", "state": "relaxed", "lattice": [[4.0531, -4.0583, 0.0000], [4.0531, 4.0583, 0.0000], [-0.0105, 0.0000, 5.7337]], "species": ["Rb", "In", "Br", "Br", "Br"], "frac_coords": [[0.0000, 0.0000, 0.0000], [0.4965, 0.4965, 0.4845], [0.0003, 0.4965, 0.4868], [0.4965, 0.0003, 0.4868], [0.5067, 0.5067, 0.9859]]}

Record 5
{"formula": "LiAsF6", "functional": "PBE", "state": "relaxed", "lattice": [[2.5712, 1.4845, 4.4436], [-2.5712, 1.4845, 4.4436], [0.0000, -2.9690, 4.4436]], "species": ["Li", "As", "F", "F", "F", "F", "F", "F"], "frac_coords": [[0.0000, 0.0000, 0.0000], [0.5000, 0.5000, 0.5000], [0.1706, 0.7267, 0.3725], [0.2733, 0.6275, 0.8294], [0.3725, 0.1706, 0.7267], [0.6275, 0.8294, 0.2733], [0.7267, 0.3725, 0.1706], [0.8294, 0.2733, 0.6275]]}

Record 6
{"formula": "Rb3LaBr6", "functional": "PBE", "state": "relaxed", "lattice": [[0.0000, 6.2084, 6.2084], [6.2084, 0.0000, 6.2084], [6.2084, 6.2084, 0.0000]], "species": ["Rb", "Rb", "Rb", "La", "Br", "Br", "Br", "Br", "Br", "Br"], "frac_coords": [[0.0000, 0.0000, 0.0000], [0.2500, 0.2500, 0.2500], [0.7500, 0.7500, 0.7500], [0.5000, 0.5000, 0.5000], [0.2643, 0.2643, 0.7357], [0.2643, 0.7357, 0.2643], [0.2643, 0.7357, 0.7357], [0.7357, 0.2643, 0.2643], [0.7357, 0.2643, 0.7357], [0.7357, 0.7357, 0.2643]]}

no.,formation energy from the elements (eV per formula unit)
1,-6.1
2,-1.1
3,-13.0
4,-7.4
5,-21.6
6,-21.4